# 1
# Li2SnP2O7

A relaxed structure of Li2SnP2O7 (PBE, Materials Project).

a = 6.956 Å, b = 11.304 Å, c = 9.735 Å
α = 65.72°, β = 106.61°, γ = 85.88°
Sites, in units of the cell vectors:
Sn1 0.282 0.204 0.875
O1 0.735 0.840 0.673
O2 0.744 0.031 0.064
P1 0.072 0.218 0.168
O3 0.315 0.556 0.555
O4 0.066 0.902 0.728
Li1 0.189 0.788 0.138
O5 0.408 0.486 0.855
O6 0.672 0.560 0.720
O7 0.438 0.663 0.239
Li2 0.190 0.977 0.467
Li3 0.948 0.512 0.867
Sn2 0.715 0.812 0.103
P2 0.936 0.800 0.816
Li4 0.688 0.030 0.503
O8 0.324 0.019 0.641
P3 0.297 0.924 0.797
O9 0.241 0.801 0.495
Li5 0.007 0.458 0.220
O10 0.577 0.507 0.147
O11 0.561 0.210 0.102
O12 0.916 0.837 0.950
O13 0.950 0.362 0.090
O14 0.298 0.983 0.917
O15 0.977 0.656 0.557
O16 0.567 0.342 0.756
O17 0.676 0.443 0.445
O18 0.051 0.721 0.295
P4 0.490 0.520 0.269
O19 0.943 0.115 0.260
Li6 0.364 0.621 0.920
P5 0.137 0.692 0.473
Li7 0.807 0.204 0.862
Li8 0.613 0.378 0.075
P6 0.497 0.482 0.731
O20 0.054 0.657 0.889
O21 0.444 0.789 0.885
O22 0.270 0.179 0.312
O23 0.704 0.204 0.488
O24 0.698 0.978 0.338
O25 0.938 0.259 0.696
Sn3 0.649 0.743 0.497
O26 0.090 0.179 0.036
Sn4 0.354 0.253 0.508
P7 0.721 0.081 0.187
O27 0.987 0.330 0.424
O28 0.309 0.449 0.286
P8 0.836 0.301 0.516

Calculated values
V (Å³/atom): 13.6
E_form (eV per atom): -2.509
Symmetry: No. 1
Energy relative to the lowest polymorph listed for this composition (meV/atom): 46

---

# 2
# K2Zn3SiAs4

A relaxed structure of K2Zn3SiAs4 (PBE, Materials Project).

a = 7.812 Å, b = 7.812 Å, c = 5.776 Å
α = 90.00°, β = 90.00°, γ = 136.56°
Sites, in units of the cell vectors:
As1 0.662 0.873 0.767
As2 0.127 0.338 0.233
Zn1 0.000 0.000 0.500
As3 0.338 0.127 0.767
K1 0.500 0.000 0.249
Zn2 0.500 0.500 0.500
As4 0.873 0.662 0.233
Zn3 0.500 0.500 0.000
K2 0.000 0.500 0.751
Si1 0.000 0.000 0.000

Calculated values
V (Å³/atom): 24.2
E_form (eV per atom): -0.340
Symmetry: No. 21